Computed, not measured: a geometry-optimized Li2ZrO3 structure at the PBE level of DFT.

The structure belongs to space group C2/c (No. 15); the cell edges are 5.451, 9.145 and 5.461 Å and the angles 90.00°, 112.13° and 90.00°. Symmetry generates all atoms from Li at (0.000, 0.076, 0.250), Li at (0.000, 0.242, 0.750), Zr at (0.000, 0.409, 0.250), O at (0.230, 0.424, 0.013) and O at (0.250, 0.250, 0.500).



Computed, not measured: a geometry-optimized B2Mo structure at the PBE level of DFT.

The structure belongs to space group R-3m (No. 166, hexagonal axes); the cell edges are 3.0280, 3.0280 and 20.9658 Å and the angles 90.00°, 90.00° and 120.00°. Symmetry generates all atoms from B at (0.0000, 0.0000, 0.1678), B at (0.0000, 0.0000, 0.3184) and Mo at (0.0000, 0.0000, 0.4244).



Computed, not measured: a geometry-optimized SrHfO3 structure at the PBE level of DFT.

The structure belongs to space group I4/mcm (No. 140); the cell edges are 5.782, 5.782 and 8.330 Å and the angles 90.00°, 90.00° and 90.00°. Symmetry generates all atoms from Sr at (0.000, 0.500, 0.250), Hf at (0.000, 0.000, 0.000), O at (0.000, 0.000, 0.250) and O at (0.198, 0.302, 0.000).



Computed, not measured: a geometry-optimized PrZn3P3 structure at the PBE level of DFT.

The structure belongs to space group P6_3/mmc (No. 194); the cell edges are 4.0625, 4.0625 and 20.1752 Å and the angles 90.00°, 90.00° and 120.00°. Symmetry generates all atoms from Pr at (0.0000, 0.0000, 0.0000), Zn at (0.3333, 0.6667, 0.1299), Zn at (0.3333, 0.6667, 0.7500), P at (0.3333, 0.6667, 0.2500) and P at (0.3333, 0.6667, 0.5883).



Computed, not measured: a geometry-optimized Te3MoWS structure at the PBE level of DFT.

The total magnetic moment is 0.006 μB per formula unit. Its energy above the lowest structure with this stoichiometry is 0.034 eV/atom.

The structure belongs to space group P3m1 (No. 156); the cell edges are 3.4555, 3.4555 and 39.4317 Å and the angles 90.00°, 90.00° and 120.00°. Symmetry generates all atoms from Te at (0.0000, 0.0000, 0.0000), Te at (0.0000, 0.0000, 0.0944), Te at (0.0000, 0.0000, 0.3759), Te at (0.0000, 0.0000, 0.4702), Te at (0.3333, 0.6667, 0.1882), Te at (0.3333, 0.6667, 0.2821), Mo at (0.0000, 0.0000, 0.2352), Mo at (0.0000, 0.0000, 0.8594), W at (0.3333, 0.6667, 0.0472), W at (0.3333, 0.6667, 0.4231), S at (0.3333, 0.6667, 0.8216) and S at (0.3333, 0.6667, 0.8972).



Computed, not measured: a geometry-optimized ZrMnFe structure at the PBE level of DFT.

The total magnetic moment is 2.213 μB per formula unit. Its energy above the lowest structure with this stoichiometry is 0.000 eV/atom.

The structure belongs to space group Amm2 (No. 38); the cell edges are 8.164, 4.947 and 8.619 Å and the angles 90.00°, 90.00° and 90.00°. Symmetry generates all atoms from Zr at (0.186, 0.000, 0.000), Zr at (0.313, 0.000, 0.667), Mn at (0.000, 0.000, 0.499), Mn at (0.500, 0.000, 0.164), Mn at (0.500, 0.246, 0.918), Fe at (0.000, 0.250, 0.250) and Fe at (0.254, 0.000, 0.333).



| no. | ΔH_f (0 K) (eV/atom) |
| --- | --- |
| 1 | -3.04 |
| 2 | -0.43 |
| 3 | -3.81 |
| 4 | -0.59 |
| 5 | -0.35 |
| 6 | -0.22 |